DFT (PBE-GGA) results for crystalline SmLuZn2 at its relaxed geometry.

extended XYZ file:
```
4
Lattice="-4.843 -0.867 1.189 -3.605 0.550 -3.510 -2.371 -4.070 -1.852" Properties=species:S:1:pos:R:3 pbc="T T T"
Sm 0.000 0.000 0.000
Lu -5.410 -2.193 -2.087
Zn -2.705 -1.097 -1.044
Zn -8.115 -3.290 -3.131
```

The calculation puts the formation energy at -335 meV per atom.

***

DFT (PBE-GGA) results for crystalline Lu5Sn3 at its relaxed geometry.

extended XYZ file:
```
16
Lattice="2.128 5.536 6.486 -8.121 -3.330 -0.448 1.827 -4.945 3.621" Properties=species:S:1:pos:R:3 pbc="T T T"
Lu -1.289 2.581 4.174
Lu -4.705 -0.374 1.863
Lu -3.791 -2.847 3.674
Lu -0.375 0.109 5.985
Lu -3.188 -2.030 7.308
Lu 1.880 -2.383 4.268
Lu -0.573 -4.505 2.609
Lu -0.978 -0.708 2.351
Lu 2.075 2.975 5.838
Lu -5.720 -3.769 0.564
Sn -0.989 -2.840 5.093
Sn 2.661 -0.351 6.649
Sn -3.554 -5.727 2.444
Sn -3.177 0.102 4.566
Sn 1.294 0.943 3.458
Sn -2.740 -2.547 0.729
```

The calculation puts the formation energy at -672 meV per atom.